Crystalline GdSi3Ni8 at its relaxed geometry, computed with r²SCAN.

abc: 7.473 7.473 7.429
angles: 80.33 80.33 130.47
Fractional positions:
Gd 0.368 0.632 0.750
Gd 0.632 0.368 0.250
Si 0.816 0.724 0.825
Si 0.276 0.184 0.675
Si 0.184 0.276 0.175
Si 0.724 0.816 0.325
Si 0.000 0.500 0.500
Si 0.500 0.000 0.000
Ni 0.140 0.804 0.921
Ni 0.196 0.860 0.579
Ni 0.860 0.196 0.079
Ni 0.804 0.140 0.421
Ni 0.850 0.432 0.829
Ni 0.568 0.150 0.671
Ni 0.150 0.568 0.171
Ni 0.432 0.850 0.329
Ni 0.712 0.562 0.570
Ni 0.438 0.288 0.930
Ni 0.288 0.438 0.430
Ni 0.562 0.712 0.070
Ni 0.878 0.122 0.750
Ni 0.122 0.878 0.250
Ni 0.000 0.000 0.500
Ni 0.000 0.000 0.000

Values from the calculation:
volume = 289.1 Å³ per cell
electronic total energy = -14.344 eV/atom
space group = C2/c (15)
E_form = -546.1 meV per atom
ρ = 8.2 g cm⁻³

***

Crystalline Al2Ru at its relaxed geometry, computed with r²SCAN.

abc: 4.632 4.632 4.982
angles: 103.88 103.88 118.95
Fractional positions:
Al 0.796 0.204 0.750
Al 0.454 0.546 0.750
Al 0.204 0.796 0.250
Al 0.546 0.454 0.250
Ru 0.125 0.875 0.750
Ru 0.875 0.125 0.250

Values from the calculation:
volume = 82.4 Å³ per cell
electronic total energy = -13.744 eV/atom
space group = Fddd (70)
E_form = -781.1 meV per atom
ρ = 6.2 g cm⁻³

***

Crystalline Ba2IrO4 at its relaxed geometry, computed with r²SCAN.

abc: 7.299 7.299 7.299
angles: 147.92 147.92 46.00
Fractional positions:
Ba 0.355 0.355 0.000
Ba 0.645 0.645 0.000
Ir 0.000 0.000 0.000
O 0.500 0.000 0.500
O 0.154 0.154 0.000
O 0.846 0.846 0.000
O 0.000 0.500 0.500

Values from the calculation:
volume = 109.3 Å³ per cell
electronic total energy = -20.527 eV/atom
space group = I4/mmm (139)
E_form = -2063.4 meV per atom
ρ = 8.1 g cm⁻³

***

Crystalline Co21Re2B6 at its relaxed geometry, computed with r²SCAN.

abc: 7.341 7.341 7.341
angles: 60.00 60.00 60.00
Fractional positions:
Co 0.000 0.000 0.000
Co 0.618 0.618 0.145
Co 0.618 0.145 0.618
Co 0.145 0.618 0.618
Co 0.618 0.618 0.618
Co 0.382 0.382 0.855
Co 0.382 0.855 0.382
Co 0.855 0.382 0.382
Co 0.382 0.382 0.382
Co 0.000 0.000 0.342
Co 0.658 0.000 0.342
Co 0.000 0.658 0.342
Co 0.658 0.342 0.000
Co 0.000 0.342 0.000
Co 0.000 0.342 0.658
Co 0.342 0.658 0.000
Co 0.342 0.000 0.658
Co 0.342 0.000 0.000
Co 0.000 0.000 0.658
Co 0.000 0.658 0.000
Co 0.658 0.000 0.000
Re 0.750 0.750 0.750
Re 0.250 0.250 0.250
B 0.724 0.724 0.276
B 0.276 0.724 0.276
B 0.724 0.276 0.276
B 0.276 0.276 0.724
B 0.724 0.276 0.724
B 0.276 0.724 0.724

Values from the calculation:
volume = 279.7 Å³ per cell
electronic total energy = -14.822 eV/atom
space group = Fm-3m (225)
E_form = -104.6 meV per atom
ρ = 9.9 g cm⁻³

***

Crystalline Ge3Os2 at its relaxed geometry, computed with r²SCAN.

abc: 5.777 9.261 11.545
angles: 90.00 90.00 90.00
Fractional positions:
Ge 0.599 0.104 0.632
Ge 0.099 0.396 0.868
Ge 0.901 0.104 0.368
Ge 0.401 0.396 0.132
Ge 0.401 0.896 0.368
Ge 0.901 0.604 0.132
Ge 0.099 0.896 0.632
Ge 0.599 0.604 0.868
Ge 0.909 0.066 0.822
Ge 0.409 0.434 0.678
Ge 0.591 0.066 0.178
Ge 0.091 0.434 0.322
Ge 0.091 0.934 0.178
Ge 0.591 0.566 0.322
Ge 0.409 0.934 0.822
Ge 0.909 0.566 0.678
Ge 0.543 0.712 0.574
Ge 0.043 0.788 0.926
Ge 0.957 0.712 0.426
Ge 0.457 0.788 0.074
Ge 0.457 0.288 0.426
Ge 0.957 0.212 0.074
Ge 0.043 0.288 0.574
Ge 0.543 0.212 0.926
Os 0.750 0.924 0.500
Os 0.250 0.576 0.000
Os 0.250 0.076 0.500
Os 0.750 0.424 0.000
Os 0.750 0.461 0.500
Os 0.250 0.039 0.000
Os 0.250 0.539 0.500
Os 0.750 0.961 0.000
Os 0.759 0.313 0.745
Os 0.259 0.187 0.755
Os 0.741 0.313 0.255
Os 0.241 0.187 0.245
Os 0.241 0.687 0.255
Os 0.741 0.813 0.245
Os 0.259 0.687 0.745
Os 0.759 0.813 0.755

Values from the calculation:
volume = 617.6 Å³ per cell
electronic total energy = -29.601 eV/atom
space group = Pbcn (60)
E_form = -84.1 meV per atom
ρ = 12.9 g cm⁻³
excess energy over the best structure of this formula in the dataset = 0 meV/atom

***

Crystalline MgSnIr2 at its relaxed geometry, computed with r²SCAN.

abc: 4.466 4.466 4.466
angles: 60.00 60.00 60.00
Fractional positions:
Mg 0.250 0.250 0.250
Sn 0.750 0.750 0.750
Ir 0.000 0.000 0.000
Ir 0.500 0.500 0.500

Values from the calculation:
volume = 63.0 Å³ per cell
electronic total energy = -33.794 eV/atom
space group = Fm-3m (225)
E_form = -385.6 meV per atom
ρ = 13.9 g cm⁻³

***

Crystalline KI at its relaxed geometry, computed with r²SCAN.

abc: 4.923 8.600 8.426
angles: 90.00 90.00 90.00
Fractional positions:
K 0.250 0.500 0.751
K 0.250 0.000 0.749
K 0.750 0.500 0.249
K 0.750 0.000 0.251
I 0.250 0.750 0.414
I 0.250 0.250 0.086
I 0.750 0.250 0.586
I 0.750 0.750 0.914

Values from the calculation:
volume = 356.7 Å³ per cell
electronic total energy = -16.973 eV/atom
space group = Pnma (62)
E_form = -1684.1 meV per atom
ρ = 3.1 g cm⁻³

***

Crystalline Pr2CuAg at its relaxed geometry, computed with r²SCAN.

abc: 3.681 3.681 7.365
angles: 90.00 90.00 90.00
Fractional positions:
Pr 0.500 0.500 0.264
Pr 0.500 0.500 0.736
Cu 0.000 0.000 0.500
Ag 0.000 0.000 0.000

Values from the calculation:
volume = 99.8 Å³ per cell
electronic total energy = -22.931 eV/atom
space group = P4/mmm (123)
E_form = -178.8 meV per atom
ρ = 7.5 g cm⁻³

***

Crystalline U3TaSb5 at its relaxed geometry, computed with r²SCAN.

abc: 9.283 9.284 6.181
angles: 89.75 90.50 119.99
Fractional positions:
U 0.614 0.000 0.753
U 0.386 0.000 0.247
U 0.000 0.613 0.747
U 0.000 0.386 0.253
U 0.386 0.386 0.747
U 0.613 0.613 0.253
Ta 0.000 0.000 0.500
Ta 0.000 0.000 0.000
Sb 0.262 0.000 0.752
Sb 0.738 0.000 0.248
Sb 0.000 0.262 0.748
Sb 0.000 0.738 0.252
Sb 0.738 0.738 0.748
Sb 0.262 0.262 0.252
Sb 0.334 0.668 0.500
Sb 0.666 0.333 0.500
Sb 0.668 0.335 0.000
Sb 0.333 0.665 0.000

Values from the calculation:
volume = 461.3 Å³ per cell
electronic total energy = -46.875 eV/atom
space group = C2/m (12)
E_form = -547.3 meV per atom
ρ = 10.8 g cm⁻³

***

Crystalline ScAu at its relaxed geometry, computed with r²SCAN.

abc: 3.390 3.390 3.390
angles: 90.00 90.00 90.00
Fractional positions:
Sc 0.500 0.500 0.500
Au 0.000 0.000 0.000

Values from the calculation:
volume = 39.0 Å³ per cell
electronic total energy = -31.849 eV/atom
space group = Pm-3m (221)
E_form = -857.1 meV per atom
ρ = 10.3 g cm⁻³

***

Crystalline Mo2WS6 at its relaxed geometry, computed with r²SCAN.

abc: 3.184 3.184 28.362
angles: 90.00 90.00 120.00
Fractional positions:
Mo 0.333 0.667 0.769
Mo 0.333 0.667 0.231
W 0.667 0.333 0.000
S 0.333 0.667 0.055
S 0.667 0.333 0.714
S 0.667 0.333 0.176
S 0.667 0.333 0.824
S 0.667 0.333 0.286
S 0.333 0.667 0.945

Values from the calculation:
volume = 249.0 Å³ per cell
electronic total energy = -17.791 eV/atom
space group = P-6m2 (187)
E_form = -933.8 meV per atom
ρ = 3.8 g cm⁻³

***

Crystalline SrAs2Ru2 at its relaxed geometry, computed with r²SCAN.

abc: 4.175 4.175 6.420
angles: 108.98 108.98 90.00
Fractional positions:
Sr 0.000 0.000 0.000
As 0.643 0.643 0.286
As 0.357 0.357 0.714
Ru 0.750 0.250 0.500
Ru 0.250 0.750 0.500

Values from the calculation:
volume = 99.4 Å³ per cell
electronic total energy = -19.846 eV/atom
space group = I4/mmm (139)
E_form = -764.2 meV per atom
ρ = 7.3 g cm⁻³

***

Crystalline EuCdAg at its relaxed geometry, computed with r²SCAN.

abc: 5.996 5.996 7.558
angles: 54.43 54.43 47.80
Fractional positions:
Eu 0.550 0.550 0.698
Eu 0.450 0.450 0.302
Cd 0.829 0.829 0.108
Cd 0.171 0.171 0.892
Ag 0.157 0.157 0.296
Ag 0.843 0.843 0.704

Values from the calculation:
volume = 155.3 Å³ per cell
electronic total energy = -27.003 eV/atom
space group = C2/m (12)
E_form = -342.7 meV per atom
ρ = 8.0 g cm⁻³

***

Crystalline CoSb2O6 at its relaxed geometry, computed with r²SCAN.

abc: 4.657 10.421 9.314
angles: 63.46 90.00 90.00
Fractional positions:
Co 0.000 0.000 0.500
Co 0.500 0.500 0.000
Co 0.000 0.000 0.000
Co 0.500 0.500 0.500
Sb 0.000 0.668 0.666
Sb 0.000 0.668 0.166
Sb 0.000 0.332 0.334
Sb 0.000 0.332 0.834
Sb 0.500 0.168 0.166
Sb 0.500 0.168 0.666
Sb 0.500 0.832 0.834
Sb 0.500 0.832 0.334
O 0.309 0.000 0.346
O 0.309 0.000 0.846
O 0.691 0.000 0.654
O 0.691 0.000 0.154
O 0.191 0.500 0.846
O 0.191 0.500 0.346
O 0.809 0.500 0.154
O 0.809 0.500 0.654
O 0.302 0.328 0.185
O 0.302 0.328 0.685
O 0.198 0.828 0.685
O 0.198 0.828 0.185
O 0.302 0.672 0.013
O 0.302 0.672 0.513
O 0.198 0.172 0.013
O 0.198 0.172 0.513
O 0.802 0.828 0.987
O 0.802 0.828 0.487
O 0.698 0.328 0.987
O 0.698 0.328 0.487
O 0.698 0.672 0.815
O 0.698 0.672 0.315
O 0.802 0.172 0.315
O 0.802 0.172 0.815

Values from the calculation:
volume = 404.4 Å³ per cell
electronic total energy = -12.729 eV/atom
E_form = -1564.7 meV per atom
ρ = 6.5 g cm⁻³

***

Crystalline Mg14VFeO16 at its relaxed geometry, computed with r²SCAN.

abc: 8.454 8.411 4.236
angles: 90.00 90.00 90.00
Fractional positions:
Mg 0.500 0.000 0.000
Mg 0.500 0.500 0.000
Mg 0.000 0.248 0.500
Mg 0.000 0.752 0.500
Mg 0.500 0.250 0.500
Mg 0.500 0.750 0.500
Mg 0.250 0.000 0.500
Mg 0.250 0.500 0.500
Mg 0.750 0.000 0.500
Mg 0.750 0.500 0.500
Mg 0.253 0.249 0.000
Mg 0.253 0.751 0.000
Mg 0.747 0.249 0.000
Mg 0.747 0.751 0.000
V 0.000 0.500 0.000
Fe 0.000 0.000 0.000
O 0.258 0.000 0.000
O 0.254 0.500 0.000
O 0.742 0.000 0.000
O 0.746 0.500 0.000
O 0.249 0.250 0.500
O 0.249 0.750 0.500
O 0.751 0.250 0.500
O 0.751 0.750 0.500
O 0.000 0.000 0.500
O 0.000 0.500 0.500
O 0.500 0.000 0.500
O 0.500 0.500 0.500
O 0.000 0.245 0.000
O 0.000 0.755 0.000
O 0.500 0.251 0.000
O 0.500 0.749 0.000

Values from the calculation:
volume = 301.2 Å³ per cell
electronic total energy = -8.522 eV/atom
space group = Pmmm (47)
E_form = -2821.3 meV per atom
ρ = 3.9 g cm⁻³

***

Crystalline Al2Hg3Cl8 at its relaxed geometry, computed with r²SCAN.

abc: 15.263 7.164 14.286
angles: 80.45 90.00 90.00
Fractional positions:
Al 0.681 0.399 0.095
Al 0.398 0.194 0.276
Al 0.898 0.806 0.224
Al 0.602 0.806 0.724
Al 0.102 0.194 0.776
Al 0.819 0.399 0.595
Al 0.319 0.601 0.905
Al 0.181 0.601 0.405
Hg 0.527 0.627 0.302
Hg 0.027 0.373 0.198
Hg 0.473 0.373 0.698
Hg 0.973 0.627 0.802
Hg 0.761 0.991 0.467
Hg 0.261 0.009 0.033
Hg 0.239 0.009 0.533
Hg 0.739 0.991 0.967
Hg 0.638 0.813 0.391
Hg 0.138 0.187 0.109
Hg 0.362 0.187 0.609
Hg 0.862 0.813 0.891
Cl 0.414 0.483 0.199
Cl 0.914 0.517 0.301
Cl 0.586 0.517 0.801
Cl 0.086 0.483 0.699
Cl 0.477 0.174 0.401
Cl 0.064 0.002 0.685
Cl 0.564 0.998 0.815
Cl 0.936 0.998 0.315
Cl 0.671 0.321 0.245
Cl 0.171 0.679 0.255
Cl 0.329 0.679 0.755
Cl 0.829 0.321 0.745
Cl 0.814 0.408 0.045
Cl 0.314 0.592 0.455
Cl 0.186 0.592 0.955
Cl 0.686 0.408 0.545
Cl 0.615 0.178 0.030
Cl 0.115 0.822 0.470
Cl 0.385 0.822 0.970
Cl 0.885 0.178 0.530
Cl 0.609 0.651 0.045
Cl 0.109 0.349 0.455
Cl 0.391 0.349 0.955
Cl 0.891 0.651 0.545
Cl 0.436 0.002 0.185
Cl 0.023 0.174 0.901
Cl 0.523 0.826 0.599
Cl 0.977 0.826 0.099
Cl 0.238 0.155 0.809
Cl 0.738 0.845 0.691
Cl 0.762 0.845 0.191
Cl 0.262 0.155 0.309

Values from the calculation:
volume = 1540.4 Å³ per cell
electronic total energy = -17.478 eV/atom
space group = P2_1/c (14)
E_form = -1263.9 meV per atom
ρ = 4.1 g cm⁻³

***

Crystalline V2Pb3O8 at its relaxed geometry, computed with r²SCAN.

abc: 5.661 5.661 7.477
angles: 68.12 68.12 67.49
Fractional positions:
V 0.590 0.597 0.203
V 0.403 0.410 0.797
Pb 0.164 0.281 0.385
Pb 0.719 0.836 0.615
Pb 0.993 0.007 0.000
O 0.676 0.777 0.959
O 0.223 0.324 0.041
O 0.756 0.652 0.328
O 0.348 0.244 0.672
O 0.660 0.259 0.235
O 0.302 0.751 0.705
O 0.249 0.698 0.295
O 0.741 0.340 0.765

Values from the calculation:
volume = 197.9 Å³ per cell
electronic total energy = -20.891 eV/atom
space group = C2 (5)
E_form = -2059.6 meV per atom
ρ = 7.1 g cm⁻³